1.
The following is a DFT calculation (r²SCAN) of a relaxed structure of Bi2Pd3Se2.

Output
Formation energy from the elements ... -376 meV/atom
Crystal system ... monoclinic
Magnetic moment ... 0.00 μB/atom
Mass density ... 9.52 Mg/m³

Unit cell a=7.316 b=7.316 c=8.496 alpha=55.97 beta=55.97 gamma=71.36
Positions (direct):
Bi  0.249  0.249  0.736
Bi  0.751  0.751  0.264
Bi  0.203  0.203  0.314
Bi  0.797  0.797  0.686
Pd  0.000  0.500  0.500
Pd  0.500  0.000  0.500
Pd  0.031  0.031  0.187
Pd  0.969  0.969  0.813
Pd  0.715  0.285  0.500
Pd  0.285  0.715  0.500
Se  0.742  0.319  0.182
Se  0.319  0.742  0.182
Se  0.258  0.681  0.818
Se  0.681  0.258  0.818

2.
The following is a DFT calculation (r²SCAN) of a relaxed structure of Lu2HgAu.

Output
Formation energy from the elements ... -761 meV/atom
Crystal system ... cubic
Magnetic moment ... 0.00 μB/atom
Mass density ... 13.86 Mg/m³

Unit cell a=5.022 b=5.022 c=5.022 alpha=60.00 beta=60.00 gamma=60.00
Positions (direct):
Lu  0.500  0.500  0.500
Lu  0.000  0.000  0.000
Hg  0.750  0.750  0.750
Au  0.250  0.250  0.250

3.
The following is a DFT calculation (r²SCAN) of a relaxed structure of Sb2O5.

Output
Formation energy from the elements ... -1375 meV/atom
Crystal system ... orthorhombic
Polymorph energy (0 for the lowest one) ... 85 meV per atom
Magnetic moment ... 0.00 μB/atom
Mass density ... 5.61 Mg/m³

Unit cell a=5.403 b=5.403 c=9.681 alpha=90.00 beta=90.00 gamma=137.34
Positions (direct):
Sb  0.635  0.365  0.565
Sb  0.365  0.635  0.435
Sb  0.365  0.635  0.065
Sb  0.635  0.365  0.935
O  0.707  0.293  0.750
O  0.450  0.550  0.619
O  0.184  0.816  0.537
O  0.816  0.184  0.463
O  0.550  0.450  0.381
O  0.293  0.707  0.250
O  0.550  0.450  0.119
O  0.450  0.550  0.881
O  0.816  0.184  0.037
O  0.184  0.816  0.963

4.
The following is a DFT calculation (r²SCAN) of a relaxed structure of V.

Output
Formation energy from the elements ... 0 meV/atom
Crystal system ... cubic
Magnetic moment ... 0.00 μB/atom
Mass density ... 6.38 Mg/m³

Unit cell a=2.583 b=2.583 c=2.583 alpha=109.47 beta=109.47 gamma=109.47
Positions (direct):
V  0.000  0.000  0.000

5.
The following is a DFT calculation (r²SCAN) of a relaxed structure of Li2AgBi.

Output
Formation energy from the elements ... -372 meV/atom
Crystal system ... cubic
Polymorph energy (0 for the lowest one) ... 24 meV per atom
Magnetic moment ... 0.00 μB/atom
Mass density ... 7.33 Mg/m³

Unit cell a=4.731 b=4.731 c=4.731 alpha=60.00 beta=60.00 gamma=60.00
Positions (direct):
Li  0.250  0.250  0.250
Li  0.750  0.750  0.750
Ag  0.500  0.500  0.500
Bi  0.000  0.000  0.000

6.
The following is a DFT calculation (r²SCAN) of a relaxed structure of TbAg.

Output
Formation energy from the elements ... -339 meV/atom
Crystal system ... cubic
Magnetic moment ... 0.00 μB/atom
Mass density ... 9.31 Mg/m³

Unit cell a=3.623 b=3.623 c=3.624 alpha=90.00 beta=90.00 gamma=90.00
Positions (direct):
Tb  0.500  0.500  0.500
Ag  0.000  0.000  0.000

7.
The following is a DFT calculation (r²SCAN) of a relaxed structure of TiNbRe2.

Output
Formation energy from the elements ... -433 meV/atom
Crystal system ... cubic
Magnetic moment ... 0.00 μB/atom
Mass density ... 13.49 Mg/m³

Unit cell a=4.470 b=4.470 c=4.470 alpha=60.00 beta=60.00 gamma=60.00
Positions (direct):
Ti  0.750  0.750  0.750
Nb  0.250  0.250  0.250
Re  0.000  0.000  0.000
Re  0.500  0.500  0.500

8.
The following is a DFT calculation (r²SCAN) of a relaxed structure of K2SbCl5.

Output
Formation energy from the elements ... -1593 meV/atom
Crystal system ... monoclinic
Magnetic moment ... 0.00 μB/atom
Mass density ... 2.69 Mg/m³

Unit cell a=12.475 b=8.902 c=8.937 alpha=69.69 beta=90.00 gamma=90.00
Positions (direct):
K  0.673  0.910  0.184
K  0.128  0.157  0.373
K  0.628  0.343  0.627
K  0.872  0.843  0.627
K  0.827  0.410  0.184
K  0.327  0.090  0.816
K  0.372  0.657  0.373
K  0.173  0.590  0.816
Sb  0.494  0.300  0.185
Sb  0.994  0.200  0.815
Sb  0.506  0.700  0.815
Sb  0.006  0.800  0.185
Cl  0.885  0.643  0.389
Cl  0.425  0.036  0.169
Cl  0.925  0.464  0.831
Cl  0.575  0.964  0.831
Cl  0.906  0.050  0.243
Cl  0.406  0.450  0.757
Cl  0.094  0.950  0.757
Cl  0.594  0.550  0.243
Cl  0.847  0.797  0.991
Cl  0.347  0.703  0.009
Cl  0.153  0.203  0.009
Cl  0.653  0.297  0.991
Cl  0.139  0.789  0.417
Cl  0.615  0.143  0.389
Cl  0.861  0.211  0.583
Cl  0.361  0.289  0.417
Cl  0.639  0.711  0.583
Cl  0.385  0.857  0.611
Cl  0.115  0.357  0.611
Cl  0.075  0.536  0.169